# 1
The following is a PBE calculation of Rb2NaMnC6N6 after structural relaxation, from the Materials Project.

Summary:
- calculated volume (Å³ per cell) = 620.65
- formation energy (kcal/mol of atoms) = -5.61
- raw total energy (eV/atom) = -7.4728

abc: 7.333 7.868 12.939
angles: 90.00 123.75 90.00
Space group P2_1/c (No. 14)
Inequivalent atoms, fractional coordinates:
Rb (0.225, 0.073, 0.249) (multiplicity 4)
Na (0.000, 0.000, 0.500) (multiplicity 2)
Mn (0.500, 0.000, 0.000) (multiplicity 2)
C (0.248, 0.137, 0.966) (multiplicity 4)
C (0.325, 0.709, 0.458) (multiplicity 4)
C (0.397, 0.021, 0.824) (multiplicity 4)
N (0.097, 0.220, 0.944) (multiplicity 4)
N (0.218, 0.667, 0.933) (multiplicity 4)
N (0.333, 0.035, 0.719) (multiplicity 4)

# 2
The following is a PBE calculation of Mn12Zn4CN3 after structural relaxation, from the Materials Project.

Summary:
- calculated volume (Å³ per cell) = 226.51
- formation energy (kcal/mol of atoms) = -4.68
- raw total energy (eV/atom) = -7.6099

abc: 3.861 3.861 15.193
angles: 90.00 90.00 90.00
Space group P4/mmm (No. 123)
Inequivalent atoms, fractional coordinates:
Mn (0.000, 0.000, 0.124) (multiplicity 2)
Mn (0.000, 0.000, 0.373) (multiplicity 2)
Mn (0.000, 0.500, 0.000) (multiplicity 2)
Mn (0.000, 0.500, 0.249) (multiplicity 4)
Mn (0.000, 0.500, 0.500) (multiplicity 2)
Zn (0.500, 0.500, 0.125) (multiplicity 2)
Zn (0.500, 0.500, 0.375) (multiplicity 2)
C (0.000, 0.000, 0.500) (multiplicity 1)
N (0.000, 0.000, 0.000) (multiplicity 1)
N (0.000, 0.000, 0.248) (multiplicity 2)

# 3
The following is a PBE calculation of MnNb4C2S4 after structural relaxation, from the Materials Project.

Summary:
- calculated volume (Å³ per cell) = 169.62
- formation energy (kcal/mol of atoms) = -22.79
- raw total energy (eV/atom) = -8.4936

abc: 5.774 3.345 8.968
angles: 90.00 101.64 90.00
Space group P2/m (No. 10)
Inequivalent atoms, fractional coordinates:
Mn (0.000, 0.000, 0.000) (multiplicity 1)
Nb (0.118, 0.000, 0.369) (multiplicity 2)
Nb (0.367, 0.500, 0.629) (multiplicity 2)
C (0.000, 0.500, 0.500) (multiplicity 1)
C (0.500, 0.000, 0.500) (multiplicity 1)
S (0.234, 0.500, 0.176) (multiplicity 2)
S (0.273, 0.000, 0.823) (multiplicity 2)

# 4
The following is a PBE calculation of Nd12Mn5C15 after structural relaxation, from the Materials Project.

Summary:
- calculated volume (Å³ per cell) = 533.51
- formation energy (kcal/mol of atoms) = -5.14
- raw total energy (eV/atom) = -7.7686

abc: 10.7811 10.7811 5.3001
angles: 90.00 90.00 120.00
Space group P-62m (No. 189)
Inequivalent atoms, fractional coordinates:
Nd (0.0000, 0.4240, 0.0000) (multiplicity 3)
Nd (0.0000, 0.7930, 0.0000) (multiplicity 3)
Nd (0.1863, 0.7290, 0.5000) (multiplicity 6)
Mn (0.0000, 0.1535, 0.5000) (multiplicity 3)
Mn (0.3333, 0.6667, 0.0000) (multiplicity 2)
C (0.0000, 0.3211, 0.5000) (multiplicity 3)
C (0.0000, 0.4460, 0.5000) (multiplicity 3)
C (0.0000, 0.8077, 0.5000) (multiplicity 3)
C (0.1942, 0.7115, 0.0000) (multiplicity 6)

# 5
The following is a PBE calculation of Nd2Mn17C2 after structural relaxation, from the Materials Project.

Summary:
- calculated volume (Å³ per cell) = 531.22
- formation energy (kcal/mol of atoms) = -0.55
- raw total energy (eV/atom) = -8.7739

abc: 9.622 8.645 6.459
angles: 90.00 98.61 90.00
Space group C2/m (No. 12)
Inequivalent atoms, fractional coordinates:
Nd (0.145, 0.000, 0.338) (multiplicity 4)
Mn (0.000, 0.232, 0.000) (multiplicity 4)
Mn (0.000, 0.500, 0.500) (multiplicity 2)
Mn (0.092, 0.500, 0.907) (multiplicity 4)
Mn (0.102, 0.268, 0.664) (multiplicity 8)
Mn (0.141, 0.362, 0.282) (multiplicity 8)
Mn (0.156, 0.000, 0.865) (multiplicity 4)
Mn (0.250, 0.250, 0.000) (multiplicity 4)
C (0.250, 0.250, 0.500) (multiplicity 4)

# 6
The following is a PBE calculation of Pr2Mn17C2 after structural relaxation, from the Materials Project.

Summary:
- calculated volume (Å³ per cell) = 539.67
- formation energy (kcal/mol of atoms) = 0.51
- raw total energy (eV/atom) = -8.7291

abc: 9.644 8.731 6.482
angles: 90.00 98.61 90.00
Space group C2/m (No. 12)
Inequivalent atoms, fractional coordinates:
Pr (0.141, 0.000, 0.341) (multiplicity 4)
Mn (0.000, 0.234, 0.000) (multiplicity 4)
Mn (0.000, 0.500, 0.500) (multiplicity 2)
Mn (0.094, 0.500, 0.906) (multiplicity 4)
Mn (0.102, 0.267, 0.664) (multiplicity 8)
Mn (0.145, 0.363, 0.281) (multiplicity 8)
Mn (0.157, 0.000, 0.872) (multiplicity 4)
Mn (0.250, 0.250, 0.000) (multiplicity 4)
C (0.250, 0.250, 0.500) (multiplicity 4)

# 7
The following is a PBE calculation of Pr12Mn5C15 after structural relaxation, from the Materials Project.

Summary:
- calculated volume (Å³ per cell) = 546.02
- formation energy (kcal/mol of atoms) = -4.44
- raw total energy (eV/atom) = -7.7430

abc: 10.8387 10.8387 5.3669
angles: 90.00 90.00 120.00
Space group P-62m (No. 189)
Inequivalent atoms, fractional coordinates:
Pr (0.0000, 0.4226, 0.0000) (multiplicity 3)
Pr (0.0000, 0.7933, 0.0000) (multiplicity 3)
Pr (0.1864, 0.7285, 0.5000) (multiplicity 6)
Mn (0.0000, 0.1542, 0.5000) (multiplicity 3)
Mn (0.3333, 0.6667, 0.0000) (multiplicity 2)
C (0.0000, 0.3204, 0.5000) (multiplicity 3)
C (0.0000, 0.4448, 0.5000) (multiplicity 3)
C (0.0000, 0.8097, 0.5000) (multiplicity 3)
C (0.1952, 0.7109, 0.0000) (multiplicity 6)

# 8
The following is a PBE calculation of Sc2MnC after structural relaxation, from the Materials Project.

Summary:
- calculated volume (Å³ per cell) = 207.22
- formation energy (kcal/mol of atoms) = 19.02
- raw total energy (eV/atom) = -6.9393

abc: 5.918 5.918 5.918
angles: 90.00 90.00 90.00
Space group F-43m (No. 216)
Inequivalent atoms, fractional coordinates:
Sc (0.000, 0.000, 0.000) (multiplicity 4)
Sc (0.250, 0.250, 0.250) (multiplicity 4)
Mn (0.250, 0.250, 0.750) (multiplicity 4)
C (0.000, 0.000, 0.500) (multiplicity 4)